# 1
{
  "formula": "ZrNi4P2",
  "functional": "r²SCAN",
  "state": "relaxed",
  "lattice": [[6.897, 0.000, 0.000], [0.000, 6.897, 0.000], [0.000, 0.000, 3.541]],
  "species": ["Zr", "Zr", "Ni", "Ni", "Ni", "Ni", "Ni", "Ni", "Ni", "Ni", "P", "P", "P", "P"],
  "fractional_positions": [[0.000, 0.000, 0.000], [0.500, 0.500, 0.500], [0.084, 0.334, 0.500], [0.166, 0.584, 0.000], [0.334, 0.084, 0.500], [0.416, 0.834, 0.000], [0.584, 0.166, 0.000], [0.666, 0.916, 0.500], [0.834, 0.416, 0.000], [0.916, 0.666, 0.500], [0.219, 0.781, 0.500], [0.281, 0.281, 0.000], [0.719, 0.719, 0.000], [0.781, 0.219, 0.500]],
  "sg": "P4_2/mnm",
  "delta_e_f_ev_per_fu": -5.830,
  "energy_ev_per_atom": -13.502,
  "total_magnetization_mub_per_cell": 0.107
}

# 2
{
  "formula": "PaNi2Sb",
  "functional": "r²SCAN",
  "state": "relaxed",
  "lattice": [[0.000, 3.249, 3.249], [3.249, 0.000, 3.249], [3.249, 3.249, 0.000]],
  "species": ["Pa", "Ni", "Ni", "Sb"],
  "fractional_positions": [[0.000, 0.000, 0.000], [0.250, 0.250, 0.250], [0.750, 0.750, 0.750], [0.500, 0.500, 0.500]],
  "sg": "Fm-3m",
  "delta_e_f_ev_per_fu": -1.600,
  "energy_ev_per_atom": -32.031,
  "total_magnetization_mub_per_cell": 0.000
}

# 3
{
  "formula": "Ni3Pb2S2",
  "functional": "r²SCAN",
  "state": "relaxed",
  "lattice": [[-4.015, 4.015, 4.015], [4.015, -4.015, 4.015], [4.015, 4.015, -4.015]],
  "species": ["Ni", "Ni", "Ni", "Ni", "Ni", "Ni", "Pb", "Pb", "Pb", "Pb", "S", "S", "S", "S"],
  "fractional_positions": [[0.008, 0.250, 0.258], [0.242, 0.492, 0.750], [0.250, 0.258, 0.008], [0.258, 0.008, 0.250], [0.492, 0.750, 0.242], [0.750, 0.242, 0.492], [0.000, 0.993, 0.500], [0.500, 0.000, 0.993], [0.507, 0.507, 0.507], [0.993, 0.500, 0.000], [0.000, 0.530, 0.500], [0.500, 0.000, 0.530], [0.530, 0.500, 0.000], [0.970, 0.970, 0.970]],
  "relative_energy_mev_per_atom": 7.1,
  "sg": "I2_13",
  "delta_e_f_ev_per_fu": -2.495,
  "energy_ev_per_atom": -23.868,
  "total_magnetization_mub_per_cell": 0.155
}

# 4
{
  "formula": "Ni3Pb2S2",
  "functional": "r²SCAN",
  "state": "relaxed",
  "lattice": [[2.816, 1.626, 4.533], [-2.816, 1.626, 4.533], [0.000, -3.252, 4.533]],
  "species": ["Ni", "Ni", "Ni", "Pb", "Pb", "S", "S"],
  "fractional_positions": [[0.000, 0.500, 0.500], [0.500, 0.000, 0.500], [0.500, 0.500, 0.000], [0.000, 0.000, 0.000], [0.500, 0.500, 0.500], [0.228, 0.228, 0.228], [0.772, 0.772, 0.772]],
  "relative_energy_mev_per_atom": 0.0,
  "sg": "R-3m",
  "delta_e_f_ev_per_fu": -2.545,
  "energy_ev_per_atom": -23.875,
  "total_magnetization_mub_per_cell": 0.000
}

# 5
{
  "formula": "Tb12Ni6Pb",
  "functional": "r²SCAN",
  "state": "relaxed",
  "lattice": [[-4.860, 4.860, 4.860], [4.860, -4.860, 4.860], [4.860, 4.860, -4.860]],
  "species": ["Tb", "Tb", "Tb", "Tb", "Tb", "Tb", "Tb", "Tb", "Tb", "Tb", "Tb", "Tb", "Ni", "Ni", "Ni", "Ni", "Ni", "Ni", "Pb"],
  "fractional_positions": [[0.118, 0.812, 0.306], [0.188, 0.306, 0.494], [0.188, 0.694, 0.882], [0.306, 0.118, 0.812], [0.306, 0.494, 0.188], [0.494, 0.188, 0.306], [0.506, 0.812, 0.694], [0.694, 0.506, 0.812], [0.694, 0.882, 0.188], [0.812, 0.306, 0.118], [0.812, 0.694, 0.506], [0.882, 0.188, 0.694], [0.123, 0.623, 0.500], [0.377, 0.500, 0.877], [0.500, 0.123, 0.623], [0.500, 0.877, 0.377], [0.623, 0.500, 0.123], [0.877, 0.377, 0.500], [0.000, 0.000, 0.000]],
  "sg": "Im-3",
  "delta_e_f_ev_per_fu": -7.435,
  "energy_ev_per_atom": -26.859,
  "total_magnetization_mub_per_cell": 0.001
}

# 6
{
  "formula": "Tm5NiPb3",
  "functional": "r²SCAN",
  "state": "relaxed",
  "lattice": [[8.970, 0.000, 0.000], [-4.485, 7.768, 0.000], [0.000, 0.000, 6.605]],
  "species": ["Tm", "Tm", "Tm", "Tm", "Tm", "Tm", "Tm", "Tm", "Tm", "Tm", "Ni", "Ni", "Pb", "Pb", "Pb", "Pb", "Pb", "Pb"],
  "fractional_positions": [[0.000, 0.236, 0.250], [0.000, 0.764, 0.750], [0.236, 0.000, 0.250], [0.236, 0.236, 0.750], [0.333, 0.667, 0.000], [0.333, 0.667, 0.500], [0.667, 0.333, 0.000], [0.667, 0.333, 0.500], [0.764, 0.000, 0.750], [0.764, 0.764, 0.250], [0.000, 0.000, 0.000], [0.000, 0.000, 0.500], [0.000, 0.400, 0.750], [0.000, 0.600, 0.250], [0.400, 0.000, 0.750], [0.400, 0.400, 0.250], [0.600, 0.000, 0.250], [0.600, 0.600, 0.750]],
  "sg": "P6_3/mcm",
  "delta_e_f_ev_per_fu": -5.630,
  "energy_ev_per_atom": -40.230,
  "total_magnetization_mub_per_cell": 0.377
}